(a)
DFT (GGA+U) results for an optimized crystal structure of Ca3V2O8.

```
91
Lattice="5.4675 3.1567 12.7687 -5.4675 3.1567 12.7687 0.0000 -6.3134 12.7687" Properties=species:S:1:pos:R:3 pbc="T T T"
Ca 0.0000 0.0000 0.0000
Ca -2.2009 -1.0920 12.3528
Ca -3.2199 1.8278 10.0863
Ca 0.0270 -3.7025 10.0863
Ca -2.2398 -1.3090 16.4631
Ca -3.2863 -1.6333 28.0693
Ca -0.1804 -2.6678 21.6178
Ca 2.0462 -1.3601 12.3528
Ca -2.2202 1.4901 21.6178
Ca 0.1548 2.4521 12.3528
Ca 0.0000 0.0000 19.1126
Ca -2.1885 -1.5515 31.6679
Ca -0.0137 2.5942 16.4631
Ca 2.2535 -1.2853 16.4631
Ca 3.1929 1.8746 10.0863
Ca 0.0000 0.0000 26.4613
Ca 2.4006 1.1777 21.6178
Ca 3.0576 -2.0294 28.0693
Ca -0.2494 2.6710 31.6680
Ca 0.2287 3.6627 28.0693
Ca 2.4379 -1.1195 31.6680
V -0.2690 -3.0112 13.9425
V -2.9895 -1.4323 20.3280
V -2.4733 1.7385 13.9425
V 0.0000 0.0000 10.1859
V -0.1913 -3.3601 17.8498
V -2.8143 1.8457 17.8498
V -2.5704 -1.2383 24.2768
V 2.7422 1.2726 13.9425
V 2.7352 -1.8728 20.3281
V 0.2543 3.3051 20.3281
V 2.3576 -1.6069 24.2768
V 0.0000 0.0000 29.4021
V 0.2128 2.8452 24.2768
V 3.0056 1.5144 17.8498
O -1.8649 -2.4598 14.3205
O -1.6545 -3.7129 16.9564
O -0.9172 -1.4100 9.7617
O -3.0922 -1.7374 18.6409
O -3.0688 -2.9564 21.1173
O -0.1392 -4.6816 14.3978
O -4.2360 0.9777 17.3974
O -4.2431 -0.3190 20.7575
O -3.9847 2.4614 14.3978
O -3.9057 -2.3367 24.0955
O -0.0515 -2.7632 12.2521
O -2.4063 0.2105 14.7034
O -2.3673 1.4262 12.2521
O -0.6408 -3.6172 19.4820
O -0.7625 1.4993 9.7617
O 0.0000 0.0000 11.9345
O -3.1108 0.1397 23.3657
O 1.2713 -4.1573 17.3974
O 1.0209 -2.1891 14.7034
O -1.4655 0.7980 17.5226
O -1.4824 -0.6939 20.7605
O 0.0417 -1.6682 17.5226
O -2.8122 2.3636 19.4820
O -2.3882 3.2893 16.9563
O 1.6797 -0.0893 9.7617
O -1.1678 -2.0324 23.7239
O -1.1978 2.8449 14.3206
O -2.2529 -0.6208 25.8913
O 2.3978 -3.5152 20.7575
O 1.4344 -2.7639 23.3657
O -1.6075 -0.0180 28.7277
O 2.4187 1.3370 12.2521
O 1.3854 1.9787 14.7034
O 1.3421 -0.9369 20.7606
O -1.1762 2.0275 23.7239
O 3.0627 -0.3852 14.3206
O 1.4238 0.8702 17.5226
O 0.1403 1.6307 20.7606
O 3.0507 -1.8093 18.6409
O -1.0259 4.1359 21.1172
O 0.0415 3.5467 18.6409
O 1.6641 -1.6406 25.8913
O 0.8193 -1.3831 28.7277
O 0.0000 0.0000 31.1082
O 2.3440 0.0049 23.7239
O 4.0427 0.4236 16.9564
O 0.5888 2.2614 25.8913
O 4.0948 -1.1794 21.1172
O -0.0708 4.5508 24.0955
O 4.1240 2.2202 14.3977
O 3.9765 -2.2141 24.0955
O 3.4530 1.2536 19.4820
O 2.9647 3.1796 17.3974
O 0.7882 1.4011 28.7277
O 1.6764 2.6242 23.3658
O 1.8454 3.8341 20.7575
```

(b)
DFT (GGA+U) results for an optimized crystal structure of Ca3V2O8.

```
13
Lattice="4.8912 -2.7925 0.0000 4.8912 2.7925 0.0000 -3.2498 0.0000 6.3567" Properties=species:S:1:pos:R:3 pbc="T T T"
Ca 0.0000 0.0000 0.0000
Ca -0.0134 0.0000 3.7558
Ca 6.5461 0.0000 2.6009
V 3.2751 0.0000 1.3616
V 3.2576 0.0000 4.9951
O 2.4510 1.4334 4.4161
O 4.0817 1.4334 1.9405
O 1.6104 0.0000 1.8983
O 0.0778 0.0000 6.0051
O 6.4549 0.0000 0.3516
O 4.9223 0.0000 4.4584
O 2.4510 -1.4334 4.4161
O 4.0817 -1.4334 1.9405
```

Relative energies in meV per atom: (a) 0; (b) 37

(a)
DFT (GGA+U) results for an optimized crystal structure of LiFePO4F.

```
64
Lattice="12.8929 0.0000 0.0000 0.0000 6.3224 0.0000 0.0000 0.0000 10.7023" Properties=species:S:1:pos:R:3 pbc="T T T"
Li 1.3529 0.3030 0.0000
Li 2.8322 4.8102 2.6883
Li 3.6142 1.6490 8.0395
Li 5.0936 3.4642 5.3511
Li 7.7993 2.8582 0.0000
Li 9.2787 4.6735 2.6883
Li 10.0606 1.5123 8.0395
Li 11.5400 6.0194 5.3511
Fe 1.4655 0.0115 5.5335
Fe 3.1978 4.7587 8.2268
Fe 3.2486 1.5974 2.8756
Fe 4.9810 3.1727 0.1823
Fe 7.9119 3.1498 5.5335
Fe 9.6442 4.7250 8.2268
Fe 9.6951 1.5638 2.8756
Fe 11.4274 6.3110 0.1823
P 0.0379 1.0441 2.8202
P 2.4183 3.1499 5.5591
P 4.0282 6.3112 0.2080
P 6.4086 4.2054 8.1713
P 6.4843 2.1171 2.8202
P 8.8647 0.0113 5.5591
P 10.4746 3.1725 0.2080
P 12.8550 5.2783 8.1713
O 0.0195 0.1901 1.5013
O 0.1073 0.0724 4.0524
O 1.2541 4.4469 8.2824
O 1.2897 1.9435 2.7844
O 1.5282 1.9307 5.7587
O 1.5833 4.4024 5.3397
O 3.0470 0.1555 1.4298
O 3.0396 6.1380 9.6976
O 3.4068 2.9768 4.3465
O 3.3994 3.3167 6.7809
O 4.8632 1.2412 10.6909
O 4.9182 5.0919 0.4075
O 5.1568 5.1047 8.1355
O 5.1924 1.2857 2.9313
O 6.3391 3.2336 9.4035
O 6.4269 3.3514 6.8524
O 6.4660 2.9711 1.5013
O 6.5538 3.0888 4.0524
O 7.7005 5.0367 8.2824
O 7.7361 1.2177 2.7844
O 7.9747 1.2305 5.7587
O 8.0297 5.0812 5.3397
O 9.4934 3.0057 1.4298
O 9.4861 3.3456 9.6976
O 9.8533 0.1844 4.3465
O 9.8459 6.1669 6.7809
O 11.3096 1.9200 10.6909
O 11.3646 4.3918 0.4075
O 11.6032 4.3789 8.1355
O 11.6388 1.8755 2.9313
O 12.7856 6.2500 9.4035
O 12.8734 6.1323 6.8524
F 2.9452 0.0021 4.0789
F 2.9754 0.0276 6.9875
F 3.4711 3.1888 1.6363
F 3.5013 3.1634 9.4300
F 9.3916 3.1591 4.0789
F 9.4218 3.1336 6.9875
F 9.9175 6.2949 1.6363
F 9.9477 6.3203 9.4300
```

(b)
DFT (GGA+U) results for an optimized crystal structure of LiFePO4F.

```
16
Lattice="5.2117 0.0000 0.0000 -0.7356 5.3149 0.0000 -2.3790 -2.4842 6.5489" Properties=species:S:1:pos:R:3 pbc="T T T"
Li 0.1774 1.2760 2.0473
Li 1.9197 1.5548 4.5016
Fe 2.6059 0.0000 0.0000
Fe 1.4163 -1.2421 3.2744
P -1.0900 0.0750 4.8256
P 3.1871 2.7558 1.7233
O -0.8588 2.9938 2.7238
O -1.4896 1.4121 5.5059
O -0.9601 -1.0786 5.8256
O 0.2452 0.2594 4.0159
O 1.8519 2.5714 2.5330
O 3.0572 3.9094 0.7233
O 3.5867 1.4187 1.0430
O 2.9559 -0.1630 3.8251
F 1.3184 -0.2107 1.5485
F 0.7787 3.0415 5.0004
```

Relative energies in meV per atom: (a) 33; (b) 0

(a)
DFT (GGA+U) results for an optimized crystal structure of ZnFe2O4.

```
14
Lattice="1.4680 -4.8617 0.0000 1.4680 4.8617 0.0000 0.0000 0.0000 10.0565" Properties=species:S:1:pos:R:3 pbc="T T T"
Zn 1.4680 3.7672 7.5424
Zn 1.4680 -3.7672 2.5141
Fe 1.4680 1.2788 5.7710
Fe 1.4680 1.2788 9.3138
Fe 1.4680 -1.2788 0.7427
Fe 1.4680 -1.2788 4.2856
O 0.0000 0.0000 0.0000
O 0.0000 0.0000 5.0283
O 1.4680 2.2359 1.1406
O 1.4680 2.2359 3.8877
O 1.4680 0.3454 7.5424
O 1.4680 -0.3454 2.5141
O 1.4680 -2.2359 6.1688
O 1.4680 -2.2359 8.9159
```

(b)
DFT (GGA+U) results for an optimized crystal structure of ZnFe2O4.

```
42
Lattice="6.0659 0.0000 0.0000 -3.0330 5.2533 0.0000 0.0000 0.0000 14.8535" Properties=species:S:1:pos:R:3 pbc="T T T"
Zn 0.0000 0.0000 0.0000
Zn 0.0000 0.0000 3.6306
Zn 0.0000 0.0000 9.2423
Zn 0.0000 3.5022 4.2816
Zn 0.0000 3.5022 13.5903
Zn 3.0330 1.7511 8.5951
Fe -1.4981 2.6372 1.8391
Fe 0.0000 1.7217 6.7851
Fe -1.5419 4.3924 6.7851
Fe 0.0000 3.5022 9.8911
Fe 1.5266 0.8814 11.7421
Fe 1.4981 2.6372 1.8391
Fe 0.0000 5.2321 1.8391
Fe 3.0330 1.7511 4.9703
Fe 3.0330 1.7511 14.2386
Fe 1.5419 4.3924 6.7851
Fe 4.5393 0.8814 11.7421
Fe 3.0330 3.4904 11.7421
O 0.0000 0.0000 5.6648
O 0.0000 0.0000 12.7962
O -1.4455 2.6676 5.6268
O 0.0000 1.6859 10.5761
O -1.5729 4.4103 10.5761
O 0.0000 1.8654 2.9445
O -1.4175 4.3206 2.9445
O 1.4126 0.8155 7.9085
O 0.0000 3.5022 0.7187
O 0.0000 3.5022 7.9252
O 1.6522 0.9539 0.6383
O 1.4455 2.6676 5.6268
O 0.0000 5.1713 5.6268
O 3.0330 0.1497 12.9128
O 1.6462 2.5518 12.9128
O 1.4175 4.3206 2.9445
O 3.0330 1.7511 3.0037
O 3.0330 1.7511 10.6325
O 1.5729 4.4103 10.5761
O 4.4137 0.9539 0.6383
O 3.0330 3.3454 0.6383
O 4.6534 0.8155 7.9085
O 3.0330 3.6222 7.9085
O 4.4198 2.5518 12.9128
```

Relative energies in meV per atom: (a) 113; (b) 0